{
  "formula": "MnAlF5",
  "functional": "GGA+U",
  "state": "optimized geometry",
  "lattice": [[-0.732, 3.021, 4.341], [-1.724, -0.433, -5.035], [-7.088, -5.938, 2.937]],
  "species": ["F", "F", "F", "F", "F", "F", "F", "F", "F", "F", "Mn", "Mn", "Al", "Al"],
  "frac_coords": [[0.669, 0.331, 0.882], [0.331, 0.669, 0.382], [0.331, 0.669, 0.118], [0.926, 0.074, 0.885], [0.669, 0.331, 0.618], [0.306, 0.694, 0.750], [0.694, 0.306, 0.250], [0.926, 0.074, 0.615], [0.074, 0.926, 0.385], [0.074, 0.926, 0.115], [0.500, 0.500, 0.500], [0.500, 0.500, 0.000], [0.207, 0.793, 0.250], [0.793, 0.207, 0.750]],
  "e_tot_ha_per_atom": -0.2248
}